! MgNiF6 | Materials Project | PBE+U | relaxed; values from VASP
! Energy of formation in kJ/mol of atoms: -230.5
! Final energy in eV/atom: -4.08
! Density in g/cm³: 3.539
&SYSTEM
  ibrav = 0, nat = 8, ntyp = 3
/
ATOMIC_SPECIES
Mg 24.30 Mg.upf
Ni 58.69 Ni.upf
F 19.00 F.upf
ATOMIC_POSITIONS angstrom
Mg -1.770 -2.020 5.987
Ni 0.000 0.000 0.000
F -2.825 -3.707 6.364
F -2.939 -0.960 7.257
F -3.066 -1.587 4.491
F -0.600 -3.079 4.717
F -0.714 -0.332 5.610
F -0.473 -2.452 7.483
CELL_PARAMETERS angstrom
-3.750 -0.165 3.630
-0.732 -4.053 3.211
0.943 0.179 5.133

---

! Fe4OF6 | Materials Project | PBE+U | relaxed; values from VASP
! ΔE to the lowest computed polymorph in meV per atom: 21
! Energy of formation in kJ/mol of atoms: -223.8
! Final energy in eV/atom: -5.76
! Size of the total moment in μB per cell: 0.0
! Density in g/cm³: 4.497
&SYSTEM
  ibrav = 0, nat = 22, ntyp = 3
/
ATOMIC_SPECIES
Fe 55.84 Fe.upf
O 16.00 O.upf
F 19.00 F.upf
ATOMIC_POSITIONS angstrom
Fe -0.797 0.186 1.597
Fe 0.804 1.094 4.687
Fe 2.124 1.573 7.613
Fe 1.012 -1.575 8.953
Fe 2.681 1.131 1.694
Fe 1.568 -2.014 3.029
Fe 2.889 -1.537 5.960
Fe 4.489 -0.627 9.045
O 3.295 -2.319 4.102
O 0.394 1.878 6.544
F 2.473 2.207 3.661
F 1.118 0.179 2.787
F 1.220 -2.649 6.982
F 2.575 -0.622 7.859
F 6.416 -1.191 4.328
F 4.446 0.641 3.130
F 2.889 0.606 5.625
F 4.855 -1.224 6.826
F -1.164 0.786 3.821
F 0.803 -1.049 5.018
F -2.723 0.749 6.316
F -0.759 -1.085 7.515
CELL_PARAMETERS angstrom
2.712 4.055 1.750
-3.767 -0.079 6.013
4.746 -4.418 2.881

---

! BaYCo4O7 | Materials Project | PBE+U | relaxed; values from VASP
! ΔE to the lowest computed polymorph in meV per atom: 14
! Energy of formation in kJ/mol of atoms: -197.8
! Final energy in eV/atom: -6.67
! Size of the total moment in μB per cell: 26.0
! Density in g/cm³: 5.156
&SYSTEM
  ibrav = 0, nat = 26, ntyp = 4
/
ATOMIC_SPECIES
Ba 137.33 Ba.upf
Y 88.91 Y.upf
Co 58.93 Co.upf
O 16.00 O.upf
ATOMIC_POSITIONS angstrom
Ba 3.200 -1.848 5.039
Ba 3.200 1.848 10.249
Y 3.200 -1.848 9.168
Y 3.200 1.848 3.957
Co 0.000 0.000 9.863
Co 1.624 -0.938 1.985
Co 4.776 0.938 7.195
Co 4.776 -0.938 1.985
Co 1.624 0.938 7.195
Co 0.000 0.000 4.652
Co 3.200 -3.668 1.985
Co 3.200 3.668 7.195
O 3.200 -0.094 2.730
O 1.682 -2.724 2.730
O 4.795 -0.927 0.066
O 3.200 3.690 5.276
O 0.000 0.000 7.794
O 4.718 -2.724 2.730
O 0.000 0.000 2.584
O 3.200 0.094 7.941
O 3.200 -3.690 0.066
O 1.605 -0.927 0.066
O 4.718 2.724 7.941
O 1.605 0.927 5.276
O 4.795 0.927 5.276
O 1.682 2.724 7.941
CELL_PARAMETERS angstrom
3.200 -5.543 0.000
3.200 5.543 0.000
0.000 0.000 10.421

---

! BaCaEuWO6 | Materials Project | PBE+U | relaxed; values from VASP
! ΔE to the lowest computed polymorph in meV per atom: 84
! Energy of formation in kJ/mol of atoms: -282.2
! Final energy in eV/atom: -7.75
! Size of the total moment in μB per cell: 14.0
! Density in g/cm³: 6.625
&SYSTEM
  ibrav = 0, nat = 20, ntyp = 5
/
ATOMIC_SPECIES
Ba 137.33 Ba.upf
Ca 40.08 Ca.upf
Eu 151.96 Eu.upf
W 183.84 W.upf
O 16.00 O.upf
ATOMIC_POSITIONS angstrom
Ba 0.000 2.963 2.174
Ba 2.963 0.000 6.522
Ca 2.963 0.000 2.174
Ca 0.000 2.963 6.522
Eu 0.000 0.000 0.000
Eu 2.963 2.963 4.348
W 0.000 0.000 4.348
W 2.963 2.963 0.000
O 0.000 0.000 2.360
O 2.963 2.963 1.988
O 0.000 0.000 6.337
O 2.963 2.963 6.708
O 2.077 1.214 0.191
O 3.850 4.712 0.191
O 4.712 2.077 8.505
O 1.214 3.850 8.505
O 5.040 1.749 4.539
O 0.887 4.177 4.539
O 1.749 0.887 4.157
O 4.177 5.040 4.157
CELL_PARAMETERS angstrom
5.926 0.000 0.000
0.000 5.926 0.000
0.000 0.000 8.696

---

! Li2V2SiGeO10 | Materials Project | PBE+U | relaxed; values from VASP
! ΔE to the lowest computed polymorph in meV per atom: 14
! Energy of formation in kJ/mol of atoms: -237.3
! Final energy in eV/atom: -6.91
! Size of the total moment in μB per cell: 0.0
! Density in g/cm³: 3.237
&SYSTEM
  ibrav = 0, nat = 32, ntyp = 5
/
ATOMIC_SPECIES
Li 6.94 Li.upf
V 50.94 V.upf
Si 28.09 Si.upf
Ge 72.64 Ge.upf
O 16.00 O.upf
ATOMIC_POSITIONS angstrom
Li 0.000 6.774 2.352
Li 0.000 2.258 2.352
Li 0.000 6.774 6.757
Li 0.000 2.258 6.757
V 2.847 0.000 2.324
V 1.848 4.516 2.324
V 1.848 0.000 6.786
V 2.847 4.516 6.786
Si 2.347 6.774 4.555
Si 2.347 2.258 4.555
Ge 2.347 6.774 0.000
Ge 2.347 2.258 0.000
O 1.215 0.000 2.286
O 3.397 7.727 1.055
O 1.298 5.820 1.055
O 3.318 7.697 3.601
O 1.298 3.211 1.055
O 3.479 4.516 2.286
O 1.376 5.851 3.601
O 1.376 7.697 5.509
O 3.479 0.000 6.824
O 3.397 1.305 1.055
O 3.318 5.851 5.509
O 1.376 3.181 3.601
O 1.298 7.727 8.055
O 3.318 1.335 3.601
O 3.318 3.181 5.509
O 1.215 4.516 6.824
O 3.397 5.820 8.055
O 1.376 1.335 5.509
O 3.397 3.211 8.055
O 1.298 1.305 8.055
CELL_PARAMETERS angstrom
4.695 0.000 0.000
0.000 9.032 0.000
0.000 0.000 9.110

---

! LiTiMnO4 | Materials Project | PBE+U | relaxed; values from VASP
! ΔE to the lowest computed polymorph in meV per atom: 0
! Energy of formation in kJ/mol of atoms: -263.4
! Final energy in eV/atom: -7.64
! Size of the total moment in μB per cell: 0.0
! Density in g/cm³: 3.757
&SYSTEM
  ibrav = 0, nat = 28, ntyp = 4
/
ATOMIC_SPECIES
Li 6.94 Li.upf
Ti 47.87 Ti.upf
Mn 54.94 Mn.upf
O 16.00 O.upf
ATOMIC_POSITIONS angstrom
Li 5.089 2.377 2.718
Li 2.695 -1.618 6.750
Li 4.341 0.341 9.362
Li 1.993 0.767 3.990
Ti -0.018 -2.206 4.696
Ti 2.329 -2.633 10.068
Ti 4.971 -0.994 4.178
Ti -0.277 0.129 6.576
Mn 2.098 1.922 7.233
Mn 3.794 -0.777 1.494
Mn 2.603 -2.770 3.496
Mn 3.289 3.917 5.231
O 5.455 0.986 4.219
O 0.208 2.110 6.617
O 4.401 -0.649 6.059
O -0.847 0.474 8.457
O 0.294 -0.200 4.688
O 5.541 -1.324 2.290
O -0.758 -1.840 6.519
O 4.489 -2.964 4.122
O 1.799 -2.576 5.261
O 1.292 2.114 9.000
O 6.692 -1.343 4.999
O 1.445 -0.221 7.398
O 2.901 1.728 5.471
O 3.406 -2.965 1.734
O -2.000 0.490 5.754
O 3.247 -0.634 3.356
CELL_PARAMETERS angstrom
2.853 -5.119 1.634
4.741 3.568 1.340
-2.899 0.698 7.769

---

! LiFeF5 | Materials Project | PBE+U | relaxed; values from VASP
! ΔE to the lowest computed polymorph in meV per atom: 91
! Energy of formation in kJ/mol of atoms: -228.0
! Final energy in eV/atom: -4.56
! Size of the total moment in μB per cell: 16.0
! Density in g/cm³: 2.458
&SYSTEM
  ibrav = 0, nat = 28, ntyp = 3
/
ATOMIC_SPECIES
Li 6.94 Li.upf
Fe 55.84 Fe.upf
F 19.00 F.upf
ATOMIC_POSITIONS angstrom
Li 0.614 0.140 1.778
Li 0.284 1.619 8.309
Li -1.941 4.658 8.073
Li -2.272 6.137 14.604
Fe 1.384 -1.447 4.975
Fe -0.218 3.512 4.887
Fe -1.439 2.765 11.495
Fe -3.041 7.724 11.407
F 1.162 -3.193 4.332
F 1.215 -0.512 3.434
F 3.170 -1.248 4.755
F -0.330 -1.115 5.307
F 1.690 -1.875 6.672
F -1.594 2.718 4.091
F 0.427 1.957 5.456
F -3.293 1.840 6.193
F -1.338 1.104 7.514
F -1.107 3.988 6.466
F -0.550 2.289 9.916
F -0.319 5.173 8.868
F 1.636 4.438 10.189
F -2.084 4.320 10.926
F -0.064 3.560 12.291
F -3.347 8.152 9.709
F -1.327 7.392 11.075
F -4.827 7.526 11.627
F -2.872 6.790 12.948
F -2.819 9.470 12.050
CELL_PARAMETERS angstrom
-2.746 -3.140 2.314
4.413 -1.661 2.984
-3.325 11.078 11.084

---

! EuZrVSnO6 | Materials Project | PBE+U | relaxed; values from VASP
! Energy of formation in kJ/mol of atoms: -266.6
! Final energy in eV/atom: -8.34
! Size of the total moment in μB per cell: 8.0
! Density in g/cm³: 6.384
&SYSTEM
  ibrav = 0, nat = 10, ntyp = 5
/
ATOMIC_SPECIES
Eu 151.96 Eu.upf
Zr 91.22 Zr.upf
V 50.94 V.upf
Sn 118.71 Sn.upf
O 16.00 O.upf
ATOMIC_POSITIONS angstrom
Eu 6.067 -6.067 -6.067
Zr 0.000 0.000 0.000
V 4.045 -4.045 -4.045
Sn 2.022 -2.022 -2.022
O 2.093 -4.045 -4.045
O 5.997 -4.045 -4.045
O 4.045 -5.997 -4.045
O 4.045 -2.093 -4.045
O 4.045 -4.045 -5.997
O 4.045 -4.045 -2.093
CELL_PARAMETERS angstrom
0.000 -4.045 -4.045
4.045 0.000 -4.045
4.045 -4.045 0.000

---

! Ca3V2Si4O14 | Materials Project | PBE+U | relaxed; values from VASP
! Energy of formation in kJ/mol of atoms: -309.0
! Final energy in eV/atom: -7.64
! Size of the total moment in μB per cell: 8.0
! Density in g/cm³: 3.293
&SYSTEM
  ibrav = 0, nat = 46, ntyp = 4
/
ATOMIC_SPECIES
Ca 40.08 Ca.upf
V 50.94 V.upf
Si 28.09 Si.upf
O 16.00 O.upf
ATOMIC_POSITIONS angstrom
Ca 0.278 6.532 4.520
Ca 0.278 19.318 8.116
Ca -0.278 3.658 0.308
Ca 1.164 10.051 2.106
Ca -0.278 16.444 3.904
Ca -1.164 12.925 6.318
V -2.303 10.051 2.106
V 2.303 12.925 6.318
V 0.000 0.000 0.000
V 0.000 2.874 4.212
Si -1.628 9.355 5.499
Si 1.628 6.480 1.287
Si -1.228 7.282 1.240
Si 1.228 10.156 5.452
Si -1.628 16.495 7.137
Si 1.228 15.694 7.184
Si -1.228 12.820 2.972
Si 1.628 13.621 2.925
O -2.283 12.950 4.221
O -0.265 20.142 6.122
O 0.721 14.209 6.814
O 0.265 17.268 1.910
O 2.576 13.138 4.162
O 1.737 9.460 6.895
O -0.721 11.335 2.602
O 2.576 6.963 0.050
O -1.737 13.516 1.529
O 0.054 13.813 3.455
O 0.265 2.833 2.302
O -2.576 9.837 4.262
O 1.737 16.390 5.741
O 2.283 10.076 0.009
O -0.054 16.687 7.667
O -2.576 16.013 8.374
O -1.649 15.669 5.752
O -0.054 9.163 4.969
O -1.649 10.181 6.884
O 0.054 6.289 0.757
O -1.737 6.585 2.683
O -0.265 5.707 6.514
O 1.649 12.795 1.540
O -0.721 8.767 1.610
O 1.649 7.307 2.672
O 0.721 11.641 5.822
O -2.283 12.900 8.415
O 2.283 10.026 4.203
CELL_PARAMETERS angstrom
3.881 8.614 0.000
-3.881 8.614 0.000
0.000 5.748 8.424

---

! Li2VSi2O6 | Materials Project | PBE+U | relaxed; values from VASP
! ΔE to the lowest computed polymorph in meV per atom: 0
! Energy of formation in kJ/mol of atoms: -268.5
! Final energy in eV/atom: -7.11
! Size of the total moment in μB per cell: 18.0
! Density in g/cm³: 2.924
&SYSTEM
  ibrav = 0, nat = 66, ntyp = 4
/
ATOMIC_SPECIES
Li 6.94 Li.upf
V 50.94 V.upf
Si 28.09 Si.upf
O 16.00 O.upf
ATOMIC_POSITIONS angstrom
Li 5.608 2.448 0.000
Li 5.532 7.655 0.000
Li 2.094 4.538 2.380
Li 1.594 0.395 2.405
Li 5.630 5.396 2.710
Li 5.130 9.540 2.735
Li 1.692 2.653 5.115
Li 1.617 7.449 5.115
Li 5.130 9.540 7.496
Li 5.630 5.396 7.521
Li 1.594 0.395 7.825
Li 2.094 4.538 7.850
V 1.805 2.470 0.000
V 7.094 0.188 0.000
V 3.735 4.742 0.000
V 0.130 5.189 5.115
V 3.490 9.744 5.115
V 5.420 7.472 5.115
Si 7.134 5.260 0.000
Si 3.701 9.691 0.000
Si 0.179 7.490 2.306
Si 3.418 7.479 2.311
Si 3.807 2.478 2.805
Si 7.046 2.488 2.809
Si 3.523 4.690 5.115
Si 0.090 0.259 5.115
Si 7.046 2.488 7.421
Si 3.807 2.478 7.426
Si 3.418 7.479 7.920
Si 0.179 7.490 7.925
O 2.189 0.285 0.000
O 4.972 0.680 0.000
O 1.411 4.653 0.000
O 5.856 4.285 0.000
O 0.288 1.882 1.379
O 3.985 8.625 1.249
O 6.870 6.305 1.271
O 3.275 3.081 1.399
O 6.796 8.902 1.790
O 3.912 6.003 1.858
O 5.430 2.579 2.860
O 1.794 7.581 2.255
O 3.312 1.002 3.257
O 0.429 3.900 3.325
O 3.949 8.082 3.717
O 0.354 1.303 3.844
O 3.239 3.624 3.867
O 6.936 6.884 3.737
O 5.035 5.287 5.115
O 2.253 5.682 5.115
O 1.368 9.286 5.115
O 5.813 9.655 5.115
O 6.936 6.884 6.494
O 3.239 3.624 6.364
O 0.354 1.303 6.386
O 3.949 8.082 6.514
O 0.429 3.900 6.906
O 3.312 1.002 6.973
O 1.794 7.581 7.975
O 5.430 2.579 7.371
O 3.912 6.003 8.373
O 6.796 8.902 8.440
O 3.275 3.081 8.832
O 6.870 6.305 8.960
O 3.985 8.625 8.982
O 0.288 1.882 8.852
CELL_PARAMETERS angstrom
7.224 0.000 0.000
0.000 10.003 0.000
0.000 0.000 10.231

---

! KFe6H12S4O29 | Materials Project | PBE+U | relaxed; values from VASP
! Energy of formation in kJ/mol of atoms: -148.3
! Final energy in eV/atom: -5.75
! Size of the total moment in μB per cell: 29.9
! Density in g/cm³: 2.951
&SYSTEM
  ibrav = 0, nat = 52, ntyp = 5
/
ATOMIC_SPECIES
K 39.10 K.upf
Fe 55.84 Fe.upf
H 1.01 H.upf
S 32.06 S.upf
O 16.00 O.upf
ATOMIC_POSITIONS angstrom
K 0.000 0.000 0.000
Fe -3.023 -5.462 -1.288
Fe 2.994 -1.909 0.486
Fe 2.954 -5.616 0.084
Fe -3.013 -9.125 -1.687
Fe 2.549 -7.103 -3.260
Fe -2.608 -7.638 1.657
H -3.524 -5.623 2.928
H 1.623 -5.093 -2.015
H 1.641 -9.333 -2.428
H -3.534 -9.894 2.460
H 2.100 -7.648 1.361
H -3.877 -11.152 -0.368
H 4.282 -6.123 2.204
H -1.681 -9.648 0.411
H -1.700 -5.408 0.825
H 3.475 -4.847 -4.063
H -2.159 -7.093 -2.964
H 3.818 -3.590 -1.235
S 0.049 -7.845 3.483
S -0.721 -3.463 -2.456
S 0.708 -3.901 1.649
S 0.663 -11.279 0.853
O -0.353 -9.148 4.111
O -1.099 -4.756 -1.835
O -1.176 -9.713 -2.361
O -1.142 -2.325 -1.565
O -0.629 -7.703 2.159
O -1.411 -3.312 -3.785
O 1.110 -2.598 1.021
O 1.040 -9.985 0.232
O 1.118 -5.028 0.758
O 1.084 -12.416 -0.038
O 0.570 -7.038 -3.763
O 1.353 -11.429 2.181
O 1.511 -7.821 3.295
O 0.739 -3.409 -2.657
O -0.753 -3.925 1.837
O -0.797 -11.333 1.053
O -2.983 -6.397 3.206
O 2.227 -5.827 -1.762
O 2.237 -8.660 -2.029
O -3.001 -9.195 2.907
O 2.542 -7.540 0.488
O -3.508 -11.056 -1.278
O 3.740 -5.349 1.926
O -2.286 -8.914 0.158
O -2.296 -6.082 0.426
O 2.943 -5.546 -4.510
O -2.601 -7.201 -2.092
O 3.450 -3.685 -0.325
O -0.029 -7.371 -0.802
CELL_PARAMETERS angstrom
-0.816 -2.995 -6.735
5.987 -3.818 0.972
-5.229 -7.928 4.160

---

- Look up the energy of formation of the eighth one.
  -266.6 kJ/mol of atoms

---

- Which value of energy of formation does entry 10 give?
  -268.5 kJ/mol of atoms

---

- Which of these has the lowest density?
  LiFeF5